# 1
This record from the Materials Project database describes a relaxed structure of Rb2InSbI6. The functional is PBE-GGA.

Unit cell a=12.5069 b=12.5069 c=12.5069 alpha=90.00 beta=90.00 gamma=90.00
Last column: nearest neighbours and their distance in Å.
Space group Fm-3m (No. 225)
Asymmetric unit:
Rb 0.2500 0.2500 0.2500 [8 per cell]  12 I 4.42
In 0.0000 0.0000 0.0000 [4 per cell]  6 I 3.21
Sb 0.0000 0.0000 0.5000 [4 per cell]  6 I 3.04
I 0.0000 0.0000 0.2568 [24 per cell]  1 Sb 3.04, 1 In 3.21

Values from the calculation:
Total magnetic moment: 0.000 μB per atom
E_tot: -104.84 eV per cell
DFT formation energy: -1.050 eV/atom
Mass density: 3.97 g cm⁻³

=====

# 2
This record from the Materials Project database describes a relaxed structure of Li5CuP2O8. The functional is PBE-GGA.

Unit cell a=5.3279 b=6.2158 c=9.9539 alpha=90.04 beta=90.14 gamma=90.13
Last column: nearest neighbours and their distance in Å.
Space group P1 (No. 1)
Asymmetric unit:
Li 0.0000 0.0000 0.0000 [1 per cell]  4 O 2.00-2.07
Li 0.0002 0.0004 0.4980 [1 per cell]  4 O 1.99-2.08
Li 0.1716 0.2468 0.2483 [1 per cell]  4 O 1.96-2.01
Li 0.1717 0.7500 0.7506 [1 per cell]  4 O 1.92-2.03
Li 0.1722 0.7549 0.2490 [1 per cell]  4 O 1.93-2.00
Li 0.5171 0.7473 0.9997 [1 per cell]  4 O 1.98-2.02
Li 0.5182 0.2540 0.4973 [1 per cell]  4 O 1.97-2.01
Li 0.5182 0.7461 0.4980 [1 per cell]  4 O 1.96-2.02
Li 0.5186 0.2523 0.0000 [1 per cell]  4 O 1.97-2.02
Li 0.6891 0.5002 0.2483 [1 per cell]  4 O 1.99-2.07
Cu 0.1750 0.2477 0.7546 [1 per cell]  4 O 2.07-2.11
Cu 0.6704 0.4999 0.7529 [1 per cell]  4 O 2.06-2.16
P 0.0207 0.5020 0.0089 [1 per cell]  4 O 1.55-1.57
P 0.0219 0.5034 0.4969 [1 per cell]  4 O 1.56
P 0.6694 0.9998 0.2534 [1 per cell]  4 O 1.56
P 0.6710 0.9949 0.7525 [1 per cell]  4 O 1.55-1.57
O 0.0283 0.5038 0.1646 [1 per cell]  1 P 1.55
O 0.0315 0.5106 0.6538 [1 per cell]  1 P 1.56
O 0.1558 0.7055 0.9524 [1 per cell]  1 P 1.56
O 0.1569 0.2920 0.9613 [1 per cell]  1 P 1.57
O 0.1575 0.2957 0.4473 [1 per cell]  1 P 1.56
O 0.1589 0.7089 0.4445 [1 per cell]  1 P 1.56
O 0.5209 0.7965 0.6989 [1 per cell]  1 P 1.56
O 0.5324 0.2056 0.2008 [1 per cell]  1 P 1.56
O 0.5318 0.7942 0.2001 [1 per cell]  1 P 1.56
O 0.5434 0.2008 0.6934 [1 per cell]  1 P 1.57
O 0.6640 0.9998 0.4100 [1 per cell]  1 P 1.56
O 0.6647 0.9999 0.9088 [1 per cell]  1 P 1.56
O 0.7399 0.4999 0.9630 [1 per cell]  1 P 1.56
O 0.7435 0.5012 0.4487 [1 per cell]  1 P 1.56
O 0.9452 0.9842 0.7000 [1 per cell]  1 P 1.55
O 0.9467 0.0001 0.2030 [1 per cell]  1 P 1.56

Values from the calculation:
Total magnetic moment: 0.000 μB per atom
E_tot: -197.86 eV per cell
DFT formation energy: -2.523 eV/atom
Mass density: 2.90 g cm⁻³

=====

# 3
This record from the Materials Project database describes a relaxed structure of CsV5Se8. The functional is PBE-GGA.

Unit cell a=18.6365 b=3.8887 c=8.9935 alpha=90.00 beta=105.08 gamma=90.00
Last column: nearest neighbours and their distance in Å.
Space group C2/m (No. 12)
Asymmetric unit:
Cs 0.0000 0.0000 0.0000 [2 per cell]  10 Se 3.60-3.68, 2 Cs 3.89
V 0.0000 0.5000 0.5000 [2 per cell]  6 Se 2.56-2.59
V 0.1550 0.0000 0.4931 [4 per cell]  6 Se 2.46-2.72
V 0.2116 0.0000 0.8473 [4 per cell]  6 Se 2.43-2.70
Se 0.0713 0.0000 0.6639 [4 per cell]  4 V 2.46-2.70
Se 0.0936 0.5000 0.3363 [4 per cell]  3 V 2.50-2.56
Se 0.1646 0.5000 0.9783 [4 per cell]  3 V 2.43-2.54
Se 0.2405 0.5000 0.6633 [4 per cell]  5 V 2.68-2.72

Values from the calculation:
E_tot: -170.01 eV per cell
DFT formation energy: -1.036 eV/atom
Mass density: 5.38 g cm⁻³

=====

# 4
This record from the Materials Project database describes a relaxed structure of ZnSiNi2. The functional is PBE-GGA.

Unit cell a=2.7369 b=2.7369 c=6.2164 alpha=90.00 beta=90.00 gamma=90.00
Last column: nearest neighbours and their distance in Å.
Space group P4/mmm (No. 123)
Asymmetric unit:
Zn 0.0000 0.0000 0.0000 [1 per cell]  8 Ni 2.63, 4 Zn 2.74
Si 0.0000 0.0000 0.5000 [1 per cell]  8 Ni 2.35
Ni 0.5000 0.5000 0.2857 [2 per cell]  4 Si 2.35, 4 Zn 2.63

Values from the calculation:
Total magnetic moment: 0.000 μB per atom
E_tot: -19.85 eV per cell
DFT formation energy: -0.400 eV/atom
Mass density: 7.52 g cm⁻³

=====

# 5
This record from the Materials Project database describes a relaxed structure of DyPt2. The functional is PBE-GGA.

Unit cell a=7.6947 b=7.6947 c=7.6947 alpha=90.00 beta=90.00 gamma=90.00
Last column: nearest neighbours and their distance in Å.
Space group Fd-3m (No. 227, origin choice 2)
Asymmetric unit:
Dy 0.1250 0.1250 0.1250 [8 per cell]  12 Pt 3.19, 4 Dy 3.33
Pt 0.0000 0.0000 0.5000 [16 per cell]  6 Pt 2.72

Values from the calculation:
E_tot: -160.41 eV per cell
DFT formation energy: -1.101 eV/atom
Mass density: 16.12 g cm⁻³

=====

# 6
This record from the Materials Project database describes a relaxed structure of HoMgSn. The functional is PBE-GGA.

Unit cell a=4.3879 b=4.3879 c=15.8855 alpha=90.00 beta=90.00 gamma=90.00
Last column: nearest neighbours and their distance in Å.
Space group I4/mmm (No. 139)
Asymmetric unit:
Ho 0.0000 0.0000 0.1676 [4 per cell]  5 Sn 3.12-3.14, 4 Mg 3.45
Mg 0.0000 0.5000 0.0000 [4 per cell]  4 Sn 3.08, 4 Mg 3.10
Sn 0.0000 0.0000 0.3642 [4 per cell]  4 Mg 3.08, 5 Ho 3.12-3.14

Values from the calculation:
E_tot: -47.43 eV per cell
DFT formation energy: -0.555 eV/atom
Mass density: 6.69 g cm⁻³

=====

# 7
This record from the Materials Project database describes a relaxed structure of NaGdP2H2CO7. The functional is PBE-GGA.

Unit cell a=6.7695 b=15.2296 c=6.6698 alpha=90.00 beta=91.44 gamma=90.00
Last column: nearest neighbours and their distance in Å.
Space group P2_1/c (No. 14)
Asymmetric unit:
Na 0.2005 0.0284 0.1396 [4 per cell]  5 O 2.34-2.46
Gd 0.3251 0.6028 0.0996 [4 per cell]  7 O 2.26-2.52
P 0.1797 0.0933 0.6322 [4 per cell]  3 O 1.54-1.56
P 0.4693 0.6600 0.6047 [4 per cell]  3 O 1.53-1.54
H 0.1812 0.2020 0.8911 [4 per cell]  1 C 1.10
H 0.3071 0.2388 0.6770 [4 per cell]  1 C 1.10
C 0.2882 0.1824 0.7775 [4 per cell]  2 H 1.10
O 0.0066 0.6296 0.9749 [4 per cell]  1 P 1.54
O 0.0864 0.6623 0.3395 [4 per cell]  1 Gd 2.47, 2 O 2.53-2.77, 1 H 2.65
O 0.1372 0.0158 0.7768 [4 per cell]  1 P 1.56
O 0.3290 0.0590 0.4772 [4 per cell]  1 P 1.55
O 0.3516 0.6023 0.7465 [4 per cell]  1 P 1.53
O 0.3757 0.7490 0.0691 [4 per cell]  1 P 1.54
O 0.4945 0.1124 0.0953 [4 per cell]  1 P 1.54

Values from the calculation:
Total magnetic moment: 0.357 μB per atom
E_tot: -403.45 eV per cell
DFT formation energy: -2.057 eV/atom
Mass density: 3.56 g cm⁻³

=====

# 8
This record from the Materials Project database describes a relaxed structure of Rb3DyO3. The functional is PBE-GGA.

Unit cell a=8.0151 b=7.3940 c=11.7635 alpha=90.00 beta=94.02 gamma=90.00
Last column: nearest neighbours and their distance in Å.
Space group P2_1/c (No. 14)
Asymmetric unit:
Rb 0.0694 0.1216 0.1553 [4 per cell]  3 O 2.83-3.06
Rb 0.3582 0.1681 0.9207 [4 per cell]  4 O 2.84-3.11
Rb 0.3757 0.6962 0.8077 [4 per cell]  1 O 2.70
Dy 0.1622 0.5894 0.0675 [4 per cell]  4 O 2.11-2.23
O 0.1070 0.0508 0.4036 [4 per cell]  2 Dy 2.21-2.23
O 0.2538 0.6439 0.5435 [4 per cell]  1 Dy 2.13
O 0.3114 0.0589 0.6892 [4 per cell]  1 Dy 2.11

Values from the calculation:
E_tot: -143.33 eV per cell
DFT formation energy: -2.214 eV/atom
Mass density: 4.46 g cm⁻³

=====

# 9
This record from the Materials Project database describes a relaxed structure of YBiO3. The functional is PBE-GGA.

Unit cell a=6.0267 b=6.0267 c=15.2709 alpha=90.00 beta=90.00 gamma=120.00
Last column: nearest neighbours and their distance in Å.
Space group R3c (No. 161, hexagonal axes)
Asymmetric unit:
Y 0.0000 0.0000 0.0000 [6 per cell]  6 O 2.25-2.36
Bi 0.0000 0.0000 0.2863 [6 per cell]  6 O 2.33-2.51
O 0.0704 0.3724 0.0583 [18 per cell]  2 Y 2.25-2.36, 2 Bi 2.33-2.51

Values from the calculation:
Total magnetic moment: 0.000 μB per atom
E_tot: -222.04 eV per cell
Largest piezoelectric modulus: 4.83 C/m2
DFT formation energy: -2.773 eV/atom
Mass density: 7.17 g cm⁻³

=====

# 10
This record from the Materials Project database describes a relaxed structure of Tm4InRh. The functional is PBE-GGA.

Unit cell a=13.4911 b=13.4911 c=13.4911 alpha=90.00 beta=90.00 gamma=90.00
Last column: nearest neighbours and their distance in Å.
Space group F-43m (No. 216)
Asymmetric unit:
Tm 0.0000 0.0000 0.1883 [24 per cell]  2 In 3.19, 2 Rh 3.43, 6 Tm 3.43-3.57
Tm 0.0611 0.2500 0.2500 [24 per cell]  2 Rh 2.79
Tm 0.0997 0.0997 0.5997 [16 per cell]  3 Rh 2.80
In 0.1667 0.1667 0.8333 [16 per cell]  3 In 3.18, 9 Tm 3.19-3.46
Rh 0.1074 0.1074 0.3926 [16 per cell]  6 Tm 2.79-2.80

Values from the calculation:
E_tot: -503.49 eV per cell
DFT formation energy: -0.575 eV/atom
Mass density: 9.67 g cm⁻³

=====

# 11
This record from the Materials Project database describes a relaxed structure of TlCuPS3. The functional is PBE-GGA.

Unit cell a=7.3607 b=9.1670 c=10.9009 alpha=90.00 beta=129.88 gamma=90.00
Last column: nearest neighbours and their distance in Å.
Space group P2_1/c (No. 14)
Asymmetric unit:
Tl 0.1996 0.0186 0.2628 [4 per cell]  6 S 3.20-3.58, 2 Cu 3.31-3.39
Cu 0.4146 0.1667 0.7375 [4 per cell]  3 S 2.22-2.27
P 0.4288 0.6016 0.4252 [4 per cell]  3 S 2.03-2.07, 1 P 2.24
S 0.1945 0.5289 0.1965 [4 per cell]  1 P 2.03, 1 Cu 2.26
S 0.2789 0.7172 0.5015 [4 per cell]  1 P 2.05, 1 Cu 2.27
S 0.2814 0.2128 0.0176 [4 per cell]  1 P 2.07, 1 Cu 2.22

Values from the calculation:
Total magnetic moment: 0.001 μB per atom
E_tot: -105.42 eV per cell
DFT formation energy: -0.597 eV/atom
Mass density: 4.65 g cm⁻³

=====

# 12
This record from the Materials Project database describes a relaxed structure of GdBN2. The functional is PBE-GGA.

Unit cell a=11.9451 b=11.9451 c=6.7775 alpha=90.00 beta=90.00 gamma=120.00
Last column: nearest neighbours and their distance in Å.
Space group R3c (No. 161, hexagonal axes)
Asymmetric unit:
Gd 0.9999 0.4536 0.0000 [18 per cell]  7 N 2.44-2.61
B 0.9998 0.1212 0.9981 [18 per cell]  3 N 1.47
N 0.0002 0.1247 0.4973 [18 per cell]  2 B 1.47
N 0.9996 0.2443 0.9997 [18 per cell]  1 B 1.47

Values from the calculation:
E_tot: -775.22 eV per cell
DFT formation energy: -1.590 eV/atom
Mass density: 7.00 g cm⁻³

=====

# 13
This record from the Materials Project database describes a relaxed structure of Zn2SnO4. The functional is PBE-GGA.

Unit cell a=6.0984 b=6.3298 c=8.7936 alpha=90.00 beta=90.00 gamma=90.00
Last column: nearest neighbours and their distance in Å.
Space group Imma (No. 74)
Asymmetric unit:
Zn 0.0000 0.2500 0.1416 [4 per cell]  4 O 2.01-2.05
Zn 0.2500 0.2500 0.7500 [4 per cell]  6 O 2.12-2.20
Sn 0.0000 0.0000 0.5000 [4 per cell]  6 O 2.07-2.13
O 0.0000 0.0174 0.7349 [8 per cell]  3 Zn 2.01-2.12, 1 Sn 2.07
O 0.2330 0.2500 0.5006 [8 per cell]  2 Zn 2.05-2.20, 2 Sn 2.13

Values from the calculation:
E_tot: -147.76 eV per cell
DFT formation energy: -1.910 eV/atom
Mass density: 6.13 g cm⁻³

=====

# 14
This record from the Materials Project database describes a relaxed structure of U3Pa. The functional is PBE-GGA.

Unit cell a=4.0274 b=4.0274 c=10.5468 alpha=90.00 beta=90.00 gamma=90.00
Last column: nearest neighbours and their distance in Å.
Space group I4/mmm (No. 139)
Asymmetric unit:
U 0.0000 0.0000 0.0000 [2 per cell]  4 Pa 2.85
U 0.0000 0.5000 0.2500 [4 per cell]  4 U 2.85
Pa 0.0000 0.0000 0.5000 [2 per cell]  4 U 2.85

Values from the calculation:
Total magnetic moment: 0.496 μB per atom
E_tot: -85.04 eV per cell
DFT formation energy: 0.217 eV/atom
Mass density: 18.35 g cm⁻³

=====

# 15
This record from the Materials Project database describes a relaxed structure of UH4C2SeN4O7. The functional is PBE-GGA.

Unit cell a=6.3885 b=13.6436 c=6.5422 alpha=90.00 beta=107.13 gamma=90.00
Last column: nearest neighbours and their distance in Å.
Space group P2_1/m (No. 11)
Asymmetric unit:
U 0.2369 0.2500 0.2389 [2 per cell]  2 O 1.80-1.82
H 0.2698 0.0419 0.6400 [4 per cell]  1 N 1.04
H 0.2983 0.5883 0.6734 [4 per cell]  1 N 1.02
C 0.4185 0.0091 0.2197 [4 per cell]  1 O 1.27, 2 N 1.34-1.39
Se 0.0706 0.2500 0.6672 [2 per cell]  3 O 1.74-1.75
N 0.3358 0.5859 0.1827 [4 per cell]  1 C 1.39
N 0.3657 0.5198 0.6941 [4 per cell]  2 H 1.02-1.04
O 0.0501 0.7500 0.9050 [2 per cell]  1 U 1.80
O 0.1412 0.1554 0.5205 [4 per cell]  1 Se 1.75, 1 H 1.82
O 0.2775 0.0770 0.1658 [4 per cell]  1 C 1.27
O 0.2856 0.2500 0.9037 [2 per cell]  1 Se 1.74
O 0.4703 0.7500 0.6217 [2 per cell]  1 U 1.82

Values from the calculation:
Total magnetic moment: 0.211 μB per atom
E_tot: -255.98 eV per cell
DFT formation energy: -0.947 eV/atom
Mass density: 3.13 g cm⁻³